No. 1
# YTaBi2O7 PBE-GGA relaxed
# Final energy: -7.808 eV per atom
# Total magnetic moment: 0.0 Bohr magnetons per cell
data_YTaBi2O7
_space_group_name_H-M_alt 'P 1'
_space_group_IT_number 1
_cell_length_a 7.705
_cell_length_b 7.705
_cell_length_c 7.705
_cell_angle_alpha 120.33
_cell_angle_beta 119.90
_cell_angle_gamma 89.81
loop_
_space_group_symop_operation_xyz
'x,y,z'
loop_
_atom_site_label
_atom_site_fract_x
_atom_site_fract_y
_atom_site_fract_z
O1 0.362 0.565 0.181
Ta1 0.500 0.500 0.000
O2 0.884 0.565 0.703
O3 0.116 0.818 0.681
Ta2 0.000 0.500 0.500
O4 0.116 0.435 0.297
Y1 0.000 0.500 0.000
O5 0.267 0.517 0.750
O6 0.638 0.435 0.819
Bi1 0.500 0.500 0.500
O7 0.884 0.182 0.319
Bi2 0.000 0.000 0.000
O8 0.733 0.483 0.250
O9 0.619 0.869 0.750
Bi3 0.500 0.000 0.000
Bi4 0.500 0.000 0.500
Y2 0.000 0.000 0.500
O10 0.638 0.818 0.203
O11 0.362 0.182 0.797
O12 0.891 0.141 0.750
O13 0.381 0.131 0.250
O14 0.109 0.859 0.250


No. 2
# Mn2CuN2 PBE-GGA relaxed
# Total magnetic moment: 11.5 Bohr magnetons per cell
# Energy above the most stable polymorph in this dataset: 0.0 meV per atom
data_Mn2CuN2
_space_group_name_H-M_alt 'P 1'
_space_group_IT_number 1
_cell_length_a 2.852
_cell_length_b 2.851
_cell_length_c 12.150
_cell_angle_alpha 90.00
_cell_angle_beta 90.00
_cell_angle_gamma 90.00
loop_
_space_group_symop_operation_xyz
'x,y,z'
loop_
_atom_site_label
_atom_site_fract_x
_atom_site_fract_y
_atom_site_fract_z
Cu1 0.250 0.218 0.250
Cu2 0.750 0.782 0.750
Mn1 0.250 0.258 0.914
N1 0.750 0.758 0.911
Mn2 0.750 0.742 0.414
Mn3 0.250 0.258 0.586
Mn4 0.750 0.742 0.086
N2 0.750 0.758 0.589
N3 0.250 0.242 0.411
N4 0.250 0.242 0.089


No. 3
# Mg2Ti3FeS8 PBE-GGA relaxed
# Final energy: -6.009 eV per atom
# Total magnetic moment: 2.1 Bohr magnetons per cell
data_Mg2Ti3FeS8
_space_group_name_H-M_alt 'P 1'
_space_group_IT_number 1
_cell_length_a 7.260
_cell_length_b 7.271
_cell_length_c 7.270
_cell_angle_alpha 59.10
_cell_angle_beta 59.02
_cell_angle_gamma 58.97
loop_
_space_group_symop_operation_xyz
'x,y,z'
loop_
_atom_site_label
_atom_site_fract_x
_atom_site_fract_y
_atom_site_fract_z
S1 0.731 0.286 0.731
S2 0.269 0.714 0.269
S3 0.742 0.742 0.742
Mg1 0.124 0.124 0.124
S4 0.269 0.269 0.714
S5 0.258 0.258 0.258
Fe1 0.500 0.500 0.500
Ti1 0.500 0.500 0.000
Ti2 0.500 0.000 0.500
Ti3 0.000 0.500 0.500
S6 0.714 0.269 0.269
S7 0.286 0.731 0.731
Mg2 0.876 0.876 0.876
S8 0.731 0.731 0.286


No. 4
# As16S17 PBE-GGA relaxed
# Final energy: -4.505 eV per atom
# Total magnetic moment: 0.0 Bohr magnetons per cell
data_As16S17
_space_group_name_H-M_alt 'P 1'
_space_group_IT_number 1
_cell_length_a 7.824
_cell_length_b 7.784
_cell_length_c 19.930
_cell_angle_alpha 84.55
_cell_angle_beta 82.43
_cell_angle_gamma 88.19
loop_
_space_group_symop_operation_xyz
'x,y,z'
loop_
_atom_site_label
_atom_site_fract_x
_atom_site_fract_y
_atom_site_fract_z
As1 0.227 0.802 0.210
S1 0.103 0.517 0.586
As2 0.782 0.128 0.281
S2 0.871 0.503 0.429
S3 0.464 0.537 0.883
As3 0.248 0.480 0.176
As4 0.736 0.609 0.836
As5 0.469 0.258 0.926
S4 0.102 0.516 0.085
S5 0.486 0.893 0.659
S6 0.505 0.132 0.335
S7 0.808 0.418 0.257
S8 0.919 0.064 0.375
S9 0.809 0.427 0.753
S10 0.079 0.921 0.627
As6 0.515 0.756 0.062
S11 0.908 0.072 0.878
As7 0.798 0.220 0.460
As8 0.226 0.802 0.710
S12 0.513 0.490 0.615
As9 0.191 0.777 0.037
S13 0.078 0.921 0.127
As10 0.515 0.758 0.562
S14 0.873 0.505 0.925
As11 0.689 0.552 0.348
S15 0.503 0.105 0.835
As12 0.778 0.138 0.783
As13 0.513 0.308 0.415
S16 0.512 0.488 0.115
As14 0.191 0.778 0.538
As15 0.249 0.480 0.677
As16 0.781 0.235 0.959
S17 0.486 0.891 0.158


No. 5
# H PBE-GGA relaxed
# Energy above the most stable polymorph in this dataset: 4.3 meV per atom
data_H
_space_group_name_H-M_alt 'P 1'
_space_group_IT_number 1
_cell_length_a 7.178
_cell_length_b 7.194
_cell_length_c 7.215
_cell_angle_alpha 90.00
_cell_angle_beta 90.00
_cell_angle_gamma 90.00
loop_
_space_group_symop_operation_xyz
'x,y,z'
loop_
_atom_site_label
_atom_site_fract_x
_atom_site_fract_y
_atom_site_fract_z
H1 0.145 0.351 0.220
H2 0.634 0.222 0.853
H3 0.366 0.722 0.647
H4 0.134 0.278 0.147
H5 0.866 0.778 0.353
H6 0.855 0.851 0.280
H7 0.355 0.649 0.720
H8 0.645 0.149 0.780


No. 6
# Rb3Na PBE-GGA relaxed
# Final energy: -1.026 eV per atom
data_Rb3Na
_space_group_name_H-M_alt 'P 1'
_space_group_IT_number 1
_cell_length_a 9.475
_cell_length_b 9.475
_cell_length_c 7.533
_cell_angle_alpha 90.00
_cell_angle_beta 90.00
_cell_angle_gamma 120.00
loop_
_space_group_symop_operation_xyz
'x,y,z'
loop_
_atom_site_label
_atom_site_fract_x
_atom_site_fract_y
_atom_site_fract_z
Rb1 0.173 0.827 0.250
Rb2 0.827 0.173 0.750
Rb3 0.173 0.346 0.250
Rb4 0.654 0.827 0.250
Na1 0.333 0.667 0.750
Rb5 0.827 0.654 0.750
Rb6 0.346 0.173 0.750
Na2 0.667 0.333 0.250


No. 7
# NaMg14Fe PBE-GGA relaxed
# Total magnetic moment: 0.0 Bohr magnetons per cell
# Energy above the most stable polymorph in this dataset: 4.3 meV per atom
data_NaMg14Fe
_space_group_name_H-M_alt 'P 1'
_space_group_IT_number 1
_cell_length_a 6.339
_cell_length_b 6.434
_cell_length_c 9.960
_cell_angle_alpha 90.00
_cell_angle_beta 90.00
_cell_angle_gamma 120.49
loop_
_space_group_symop_operation_xyz
'x,y,z'
loop_
_atom_site_label
_atom_site_fract_x
_atom_site_fract_y
_atom_site_fract_z
Mg1 0.665 0.837 0.625
Mg2 0.167 0.334 0.625
Mg3 0.848 0.174 0.357
Mg4 0.326 0.649 0.888
Mg5 0.829 0.665 0.382
Mg6 0.665 0.328 0.625
Mg7 0.326 0.649 0.362
Mg8 0.848 0.174 0.893
Na1 0.164 0.832 0.125
Mg9 0.326 0.177 0.362
Mg10 0.829 0.665 0.868
Mg11 0.667 0.827 0.125
Mg12 0.326 0.177 0.888
Mg13 0.667 0.339 0.125
Mg14 0.173 0.836 0.625
Fe1 0.177 0.338 0.125


No. 8
# Cs3PSe4 PBE-GGA relaxed
# Final energy: -3.656 eV per atom
data_Cs3PSe4
_space_group_name_H-M_alt 'P 1'
_space_group_IT_number 1
_cell_length_a 10.178
_cell_length_b 10.200
_cell_length_c 12.268
_cell_angle_alpha 90.00
_cell_angle_beta 90.00
_cell_angle_gamma 90.00
loop_
_space_group_symop_operation_xyz
'x,y,z'
loop_
_atom_site_label
_atom_site_fract_x
_atom_site_fract_y
_atom_site_fract_z
Cs1 0.206 0.965 0.042
Se1 0.760 0.784 0.750
Se2 0.546 0.828 0.401
Se3 0.454 0.172 0.901
Cs2 0.294 0.465 0.042
Se4 0.565 0.523 0.250
Cs3 0.294 0.465 0.458
Cs4 0.096 0.344 0.750
Cs5 0.706 0.535 0.958
Se5 0.065 0.977 0.750
Se6 0.740 0.284 0.750
Cs6 0.706 0.535 0.542
Se7 0.454 0.172 0.599
Cs7 0.794 0.035 0.542
Se8 0.046 0.672 0.901
Cs8 0.206 0.965 0.458
Se9 0.260 0.716 0.250
Se10 0.954 0.328 0.401
P1 0.521 0.275 0.750
P2 0.021 0.225 0.250
Cs9 0.596 0.156 0.250
P3 0.979 0.775 0.750
Se11 0.435 0.477 0.750
Cs10 0.904 0.656 0.250
Se12 0.546 0.828 0.099
Se13 0.240 0.216 0.250
Cs11 0.794 0.035 0.958
Se14 0.935 0.023 0.250
Se15 0.046 0.672 0.599
Cs12 0.404 0.844 0.750
P4 0.479 0.725 0.250
Se16 0.954 0.328 0.099


No. 9
# ZnP2PdO7 PBE-GGA relaxed
# Final energy: -6.413 eV per atom
# Total magnetic moment: 0.0 Bohr magnetons per cell
data_ZnP2PdO7
_space_group_name_H-M_alt 'P 1'
_space_group_IT_number 1
_cell_length_a 5.956
_cell_length_b 12.503
_cell_length_c 6.858
_cell_angle_alpha 90.00
_cell_angle_beta 90.00
_cell_angle_gamma 90.00
loop_
_space_group_symop_operation_xyz
'x,y,z'
loop_
_atom_site_label
_atom_site_fract_x
_atom_site_fract_y
_atom_site_fract_z
O1 0.750 0.997 0.557
Pd1 0.000 0.500 0.500
O2 0.250 0.204 0.482
O3 0.469 0.620 0.294
O4 0.250 0.801 0.486
O5 0.031 0.120 0.206
O6 0.969 0.880 0.794
O7 0.250 0.003 0.443
O8 0.250 0.503 0.057
Zn1 0.750 0.244 0.246
Pd2 0.500 0.000 0.000
P1 0.250 0.388 0.166
Zn2 0.250 0.756 0.754
O9 0.970 0.616 0.711
P2 0.750 0.112 0.666
Pd3 0.000 0.000 0.000
O10 0.030 0.884 0.211
O11 0.030 0.384 0.289
P3 0.250 0.617 0.169
P4 0.750 0.383 0.831
O12 0.470 0.884 0.211
Zn3 0.750 0.744 0.254
P5 0.250 0.888 0.334
P6 0.750 0.612 0.834
O13 0.750 0.497 0.943
O14 0.969 0.380 0.706
Pd4 0.500 0.500 0.500
O15 0.531 0.380 0.706
O16 0.530 0.616 0.711
O17 0.750 0.296 0.982
O18 0.750 0.199 0.514
Zn4 0.250 0.256 0.746
O19 0.469 0.120 0.206
P7 0.250 0.117 0.331
O20 0.530 0.116 0.789
O21 0.470 0.384 0.289
O22 0.970 0.116 0.789
O23 0.250 0.301 0.014
O24 0.031 0.620 0.294
O25 0.531 0.880 0.794
O26 0.750 0.699 0.986
O27 0.750 0.796 0.518
P8 0.750 0.883 0.669
O28 0.250 0.704 0.018


No. 10
# K2PtBr4 PBE-GGA relaxed
# Final energy: -3.257 eV per atom
data_K2PtBr4
_space_group_name_H-M_alt 'P 1'
_space_group_IT_number 1
_cell_length_a 7.498
_cell_length_b 7.498
_cell_length_c 4.482
_cell_angle_alpha 90.00
_cell_angle_beta 90.00
_cell_angle_gamma 90.00
loop_
_space_group_symop_operation_xyz
'x,y,z'
loop_
_atom_site_label
_atom_site_fract_x
_atom_site_fract_y
_atom_site_fract_z
Br1 0.233 0.233 0.000
K1 0.500 0.000 0.500
Br2 0.767 0.233 0.000
K2 0.000 0.500 0.500
Br3 0.767 0.767 0.000
Pt1 0.000 0.000 0.000
Br4 0.233 0.767 0.000


No. 11
# Er2Co7 PBE-GGA relaxed
# Final energy: -6.726 eV per atom
# Total magnetic moment: 18.0 Bohr magnetons per cell
data_Er2Co7
_space_group_name_H-M_alt 'P 1'
_space_group_IT_number 1
_cell_length_a 12.351
_cell_length_b 12.351
_cell_length_c 12.351
_cell_angle_alpha 23.07
_cell_angle_beta 23.07
_cell_angle_gamma 23.07
loop_
_space_group_symop_operation_xyz
'x,y,z'
loop_
_atom_site_label
_atom_site_fract_x
_atom_site_fract_y
_atom_site_fract_z
Co1 0.500 0.000 0.500
Co2 0.278 0.278 0.278
Co3 0.108 0.610 0.610
Co4 0.610 0.108 0.610
Er1 0.051 0.051 0.051
Co5 0.000 0.500 0.500
Co6 0.500 0.500 0.000
Co7 0.500 0.500 0.500
Co8 0.722 0.722 0.722
Er2 0.852 0.852 0.852
Co9 0.892 0.390 0.390
Co10 0.611 0.611 0.611
Co11 0.610 0.610 0.108
Er3 0.949 0.949 0.949
Co12 0.390 0.892 0.390
Co13 0.390 0.390 0.892
Co14 0.389 0.389 0.389
Er4 0.148 0.148 0.148


No. 12
# Zn PBE-GGA relaxed
# Total magnetic moment: 0.0 Bohr magnetons per cell
# Energy above the most stable polymorph in this dataset: 55.1 meV per atom
data_Zn
_space_group_name_H-M_alt 'P 1'
_space_group_IT_number 1
_cell_length_a 11.753
_cell_length_b 11.775
_cell_length_c 11.753
_cell_angle_alpha 94.30
_cell_angle_beta 87.13
_cell_angle_gamma 94.74
loop_
_space_group_symop_operation_xyz
'x,y,z'
loop_
_atom_site_label
_atom_site_fract_x
_atom_site_fract_y
_atom_site_fract_z
Zn1 0.758 0.060 0.734
Zn2 0.913 0.679 0.572
Zn3 0.984 0.131 0.765
Zn4 0.123 0.612 0.660
Zn5 0.509 0.267 0.681
Zn6 0.875 0.799 0.053
Zn7 0.600 0.962 0.583
Zn8 0.252 0.860 0.076
Zn9 0.660 0.323 0.204
Zn10 0.892 0.023 0.096
Zn11 0.889 0.262 0.145
Zn12 0.407 0.350 0.221
Zn13 0.295 0.982 0.902
Zn14 0.001 0.481 0.511
Zn15 0.779 0.492 0.540
Zn16 0.248 0.240 0.573
Zn17 0.347 0.759 0.438
Zn18 0.899 0.078 0.320
Zn19 0.095 0.160 0.435
Zn20 0.064 0.939 0.421
Zn21 0.218 0.360 0.377
Zn22 0.856 0.582 0.008
Zn23 0.651 0.530 0.173
Zn24 0.839 0.164 0.934
Zn25 0.631 0.198 0.862
Zn26 0.438 0.340 0.449
Zn27 0.470 0.964 0.374
Zn28 0.308 0.336 0.763
Zn29 0.670 0.962 0.948
Zn30 0.944 0.378 0.960
Zn31 0.304 0.471 0.585
Zn32 0.156 0.306 0.148
Zn33 0.425 0.551 0.365
Zn34 0.723 0.740 0.913
Zn35 0.453 0.596 0.126
Zn36 0.863 0.841 0.437
Zn37 0.687 0.735 0.544
Zn38 0.194 0.135 0.811
Zn39 0.879 0.936 0.875
Zn40 0.970 0.749 0.806
Zn41 0.266 0.512 0.207
Zn42 0.660 0.627 0.730
Zn43 0.461 0.660 0.597
Zn44 0.256 0.961 0.272
Zn45 0.194 0.811 0.772
Zn46 0.284 0.650 0.006
Zn47 0.384 0.858 0.641
Zn48 0.053 0.565 0.870
Zn49 0.842 0.463 0.305
Zn50 0.302 0.131 0.121
Zn51 0.749 0.667 0.334
Zn52 0.942 0.659 0.228
Zn53 0.479 0.814 0.003
Zn54 0.732 0.385 0.992
Zn55 0.120 0.037 0.624
Zn56 0.888 0.060 0.541
Zn57 0.918 0.889 0.656
Zn58 0.373 0.081 0.668
Zn59 0.505 0.970 0.800
Zn60 0.395 0.794 0.219
Zn61 0.151 0.331 0.921
Zn62 0.691 0.024 0.391
Zn63 0.022 0.878 0.209
Zn64 0.348 0.428 0.987
Zn65 0.599 0.552 0.956
Zn66 0.132 0.795 0.555
Zn67 0.074 0.714 0.048
Zn68 0.096 0.097 0.209
Zn69 0.063 0.507 0.291
Zn70 0.199 0.586 0.446
Zn71 0.581 0.945 0.176
Zn72 0.262 0.551 0.803
Zn73 0.720 0.230 0.603
Zn74 0.098 0.501 0.071
Zn75 0.628 0.460 0.381
Zn76 0.519 0.315 0.030
Zn77 0.753 0.253 0.382
Zn78 0.082 0.913 0.954
Zn79 0.866 0.541 0.755
Zn80 0.672 0.409 0.769
Zn81 0.692 0.132 0.103
Zn82 0.404 0.192 0.878
Zn83 0.542 0.161 0.482
Zn84 0.326 0.157 0.365
Zn85 0.480 0.054 0.018
Zn86 0.558 0.755 0.374
Zn87 0.560 0.468 0.587
Zn88 0.945 0.278 0.562
Zn89 0.466 0.502 0.789
Zn90 0.065 0.137 0.996
Zn91 0.678 0.846 0.741
Zn92 0.513 0.153 0.241
Zn93 0.152 0.743 0.311
Zn94 0.086 0.386 0.710
Zn95 0.777 0.879 0.242
Zn96 0.859 0.309 0.767
Zn97 0.402 0.735 0.814
Zn98 0.983 0.302 0.339
Zn99 0.638 0.737 0.126
Zn100 0.281 0.971 0.493